[1]
A relaxed MgMnGe2O6 crystal. Source: the Materials Project database, functional PBE with a Hubbard U.

Space-group type   P2_1/c (14)
ΔE to the lowest computed polymorph   0.003 eV per atom
Formation energy from the elements   -2.33 eV/atom
V   12.32 A^3/atom

Lattice parameters (Å, degrees): 9.2684 5.5044 9.9620 75.84 90.00 90.00
Atoms (fractional coordinates):
Mg: 0.4868 0.5558 0.2451
Mg: 0.9868 0.9442 0.7549
Mg: 0.5132 0.4442 0.7549
Mg: 0.0132 0.0558 0.2451
Mn: 0.6529 0.0462 0.2436
Mn: 0.1529 0.4538 0.7564
Mn: 0.3471 0.9538 0.7564
Mn: 0.8471 0.5462 0.2436
Ge: 0.3372 0.1796 0.0568
Ge: 0.8372 0.3204 0.9432
Ge: 0.6628 0.8204 0.9432
Ge: 0.1628 0.6796 0.0568
Ge: 0.3428 0.7550 0.4583
Ge: 0.8428 0.7450 0.5417
Ge: 0.6572 0.2450 0.5417
Ge: 0.1572 0.2550 0.4583
O: 0.2840 0.4975 0.3868
O: 0.7840 0.0025 0.6132
O: 0.7160 0.5025 0.6132
O: 0.2160 0.9975 0.3868
O: 0.3222 0.8357 0.1073
O: 0.8222 0.6643 0.8927
O: 0.6778 0.1643 0.8927
O: 0.1778 0.3357 0.1073
O: 0.9924 0.2980 0.3728
O: 0.4924 0.2020 0.6272
O: 0.0076 0.7020 0.6272
O: 0.5076 0.7980 0.3728
O: 0.0220 0.7812 0.1425
O: 0.5220 0.7188 0.8575
O: 0.9780 0.2188 0.8575
O: 0.4780 0.2812 0.1425
O: 0.3438 0.2492 0.8742
O: 0.8438 0.2508 0.1258
O: 0.6562 0.7508 0.1258
O: 0.1562 0.7492 0.8742
O: 0.3451 0.6704 0.6394
O: 0.8451 0.8296 0.3606
O: 0.6549 0.3296 0.3606
O: 0.1549 0.1704 0.6394

---

[2]
A relaxed Ba2Mg2MnF10 crystal. Source: the Materials Project database, functional PBE with a Hubbard U.

Space-group type   C2/m (12)
Formation energy from the elements   -3.78 eV/atom
V   14.43 A^3/atom

Lattice parameters (Å, degrees): 9.8787 9.8787 8.1934 70.09 70.09 35.43
Atoms (fractional coordinates):
Ba: 0.7164 0.7164 0.6938
Ba: 0.2836 0.2836 0.3062
Ba: 0.6166 0.6166 0.2753
Ba: 0.3834 0.3834 0.7247
Mg: 0.7451 0.2549 0.0000
Mg: 0.2549 0.7451 0.0000
Mg: 0.8227 0.8227 0.0138
Mg: 0.1773 0.1773 0.9862
Mn: 0.9246 0.9246 0.4455
Mn: 0.0754 0.0754 0.5545
F: 0.6367 0.1427 0.0239
F: 0.3633 0.8573 0.9761
F: 0.8573 0.3633 0.9761
F: 0.1427 0.6367 0.0239
F: 0.4843 0.4843 0.1731
F: 0.5157 0.5157 0.8269
F: 0.9793 0.9793 0.1716
F: 0.0207 0.0207 0.8284
F: 0.5000 0.0000 0.0000
F: 0.0000 0.5000 0.0000
F: 0.8626 0.8626 0.7515
F: 0.1374 0.1374 0.2485
F: 0.7615 0.2385 0.5000
F: 0.2385 0.7615 0.5000
F: 0.5966 0.0928 0.4834
F: 0.4034 0.9072 0.5166
F: 0.9072 0.4034 0.5166
F: 0.0928 0.5966 0.4834
F: 0.7662 0.7662 0.2651
F: 0.2338 0.2338 0.7349

---

[3]
A relaxed EuMgCrO3 crystal. Source: the Materials Project database, functional PBE with a Hubbard U.

Space-group type   P4/mmm (123)
Formation energy from the elements   -2.13 eV/atom
V   18.53 A^3/atom

Lattice parameters (Å, degrees): 7.2562 3.9148 3.9148 90.00 90.00 90.00
Atoms (fractional coordinates):
Eu: 0.5000 0.5000 0.5000
Mg: 0.0000 0.5000 0.5000
Cr: 0.0000 0.0000 0.0000
O: 0.5000 0.0000 0.0000
O: 0.0000 0.5000 0.0000
O: 0.0000 0.0000 0.5000

---

[4]
A relaxed CsMnH5S2O10 crystal. Source: the Materials Project database, functional PBE with a Hubbard U.

Space-group type   P1 (1)
Formation energy from the elements   -1.77 eV/atom
V   12.89 A^3/atom

Lattice parameters (Å, degrees): 4.8631 5.9844 8.7771 104.21 95.93 94.40
Atoms (fractional coordinates):
Cs: 0.9990 0.0046 0.4945
Mn: 0.0004 0.0062 0.0063
H: 0.6505 0.2721 0.8462
H: 0.3502 0.7261 0.1564
H: 0.9646 0.3497 0.8361
H: 0.0331 0.6473 0.1641
H: 0.5002 0.5309 0.5175
S: 0.4320 0.6873 0.7682
S: 0.5679 0.3171 0.2378
O: 0.2706 0.8856 0.8176
O: 0.7297 0.1156 0.1857
O: 0.2798 0.4595 0.7531
O: 0.7238 0.5411 0.2417
O: 0.6988 0.7162 0.8705
O: 0.3048 0.2873 0.1282
O: 0.4955 0.6975 0.5978
O: 0.5033 0.3158 0.4025
O: 0.8359 0.2190 0.8444
O: 0.1629 0.7760 0.1523

---

[5]
A relaxed Li3Ti3FeP6O24 crystal. Source: the Materials Project database, functional PBE with a Hubbard U.

Space-group type   P1 (1)
ΔE to the lowest computed polymorph   0.000 eV per atom
Formation energy from the elements   -2.87 eV/atom
V   12.57 A^3/atom

Lattice parameters (Å, degrees): 8.6955 8.6912 17.4504 59.81 59.89 59.95
Atoms (fractional coordinates):
Li: 0.6400 0.2397 0.4119
Li: 0.6349 0.5414 0.1790
Li: 0.9709 0.8859 0.0558
Li: 0.3994 0.4715 0.8035
Li: 0.7449 0.5631 0.6430
Li: 0.9642 0.8830 0.5635
Ti: 0.1419 0.1409 0.0675
Ti: 0.3611 0.3597 0.1784
Ti: 0.1477 0.1368 0.5675
Ti: 0.3575 0.3456 0.6850
Ti: 0.6414 0.6484 0.3222
Ti: 0.8595 0.8587 0.9267
Fe: 0.8681 0.8551 0.4251
Fe: 0.6436 0.6381 0.8214
P: 0.0444 0.7440 0.2308
P: 0.4650 0.0438 0.3759
P: 0.2487 0.5362 0.4863
P: 0.7565 0.4554 0.0166
P: 0.0459 0.7413 0.7310
P: 0.5365 0.9627 0.1251
P: 0.4638 0.0314 0.8760
P: 0.9614 0.2517 0.2638
P: 0.2511 0.5398 0.9818
P: 0.7511 0.4504 0.5200
P: 0.5385 0.9570 0.6261
P: 0.9623 0.2461 0.7677
O: 0.9907 0.1999 0.1840
O: 0.1999 0.3705 0.0044
O: 0.3716 0.9950 0.1026
O: 0.1256 0.3095 0.2385
O: 0.3103 0.5057 0.0601
O: 0.0566 0.9099 0.1362
O: 0.5047 0.1285 0.1467
O: 0.2294 0.5773 0.2190
O: 0.2784 0.0565 0.4583
O: 0.0148 0.1934 0.6831
O: 0.4348 0.2172 0.2893
O: 0.2113 0.3688 0.4981
O: 0.0739 0.7174 0.4846
O: 0.5941 0.4331 0.1135
O: 0.3805 0.0001 0.5949
O: 0.1226 0.2981 0.7539
O: 0.4195 0.5607 0.3945
O: 0.9270 0.2707 0.0261
O: 0.2988 0.4896 0.5706
O: 0.0760 0.9059 0.6356
O: 0.5582 0.7744 0.2107
O: 0.4862 0.1111 0.6633
O: 0.2336 0.5728 0.7274
O: 0.7281 0.9308 0.0444
O: 0.2828 0.0508 0.9619
O: 0.7667 0.4183 0.2760
O: 0.5250 0.8616 0.3561
O: 0.4393 0.2275 0.7969
O: 0.9354 0.0933 0.3602
O: 0.7104 0.4786 0.4362
O: 0.0773 0.7237 0.9776
O: 0.5881 0.4185 0.6142
O: 0.8775 0.6914 0.2506
O: 0.6217 0.0333 0.3978
O: 0.4082 0.5584 0.8851
O: 0.9258 0.2717 0.5298
O: 0.7828 0.6234 0.5080
O: 0.5696 0.7587 0.7010
O: 0.0089 0.7940 0.3119
O: 0.7246 0.9627 0.5404
O: 0.7771 0.4158 0.7689
O: 0.4990 0.8762 0.8465
O: 0.9368 0.0794 0.8606
O: 0.7047 0.4910 0.9365
O: 0.8864 0.6999 0.7382
O: 0.6329 0.9895 0.9004
O: 0.8032 0.6203 0.0027
O: 0.0005 0.7923 0.8150

---

[6]
A relaxed Li7Mn4P8O28 crystal. Source: the Materials Project database, functional PBE with a Hubbard U.

Space-group type   P1 (1)
ΔE to the lowest computed polymorph   0.004 eV per atom
Formation energy from the elements   -2.63 eV/atom
V   11.54 A^3/atom

Lattice parameters (Å, degrees): 9.8921 9.9124 11.3473 77.12 89.84 89.72
Atoms (fractional coordinates):
Li: 0.7199 0.1106 0.5540
Li: 0.4244 0.1680 0.4567
Li: 0.1113 0.0878 0.9722
Li: 0.9086 0.3432 0.0413
Li: 0.6063 0.4134 0.0279
Li: 0.9197 0.3369 0.5429
Li: 0.2213 0.3887 0.4485
Li: 0.0690 0.6633 0.4599
Li: 0.3912 0.5843 0.9696
Li: 0.5885 0.8503 0.0429
Li: 0.0923 0.6542 0.9561
Li: 0.8938 0.9151 0.0283
Li: 0.5836 0.8233 0.5480
Li: 0.2794 0.8883 0.4466
Mn: 0.9195 0.1999 0.3267
Mn: 0.2171 0.2558 0.1735
Mn: 0.7119 0.2447 0.8247
Mn: 0.4191 0.2947 0.6828
Mn: 0.5812 0.7006 0.3302
Mn: 0.2857 0.7585 0.1742
Mn: 0.7836 0.7417 0.8214
Mn: 0.0774 0.7967 0.6739
P: 0.4542 0.0249 0.2426
P: 0.7062 0.1195 0.1081
P: 0.9318 0.0596 0.7569
P: 0.1500 0.1232 0.5739
P: 0.6476 0.3774 0.4252
P: 0.4330 0.4411 0.2440
P: 0.0469 0.5253 0.2395
P: 0.2057 0.3813 0.8912
P: 0.7953 0.6188 0.1080
P: 0.9520 0.4743 0.7573
P: 0.5688 0.5600 0.7564
P: 0.3510 0.6214 0.5741
P: 0.8495 0.8763 0.4271
P: 0.0673 0.9406 0.2444
P: 0.2937 0.8821 0.8913
P: 0.5467 0.9746 0.7582
O: 0.4197 0.0207 0.3739
O: 0.8370 0.0252 0.4456
O: 0.0859 0.0864 0.2699
O: 0.3557 0.1094 0.1519
O: 0.6003 0.0975 0.2214
O: 0.8314 0.1795 0.1567
O: 0.6453 0.2284 0.0020
O: 0.2694 0.0176 0.9234
O: 0.0795 0.1130 0.7045
O: 0.9355 0.0643 0.8893
O: 0.5398 0.1249 0.7792
O: 0.2899 0.1881 0.5817
O: 0.8261 0.1643 0.6884
O: 0.0635 0.2246 0.4818
O: 0.5635 0.2754 0.5181
O: 0.3265 0.3374 0.3118
O: 0.7895 0.3152 0.4181
O: 0.0362 0.3762 0.2146
O: 0.5796 0.3820 0.2937
O: 0.4342 0.4391 0.1110
O: 0.7770 0.4799 0.0759
O: 0.1342 0.2776 0.9979
O: 0.3288 0.3224 0.8417
O: 0.1004 0.4057 0.7785
O: 0.5886 0.4156 0.7287
O: 0.8595 0.3862 0.8548
O: 0.0859 0.5231 0.3691
O: 0.3428 0.4733 0.5557
O: 0.6516 0.5262 0.4402
O: 0.9203 0.4753 0.6282
O: 0.1372 0.6158 0.1432
O: 0.4163 0.5867 0.2717
O: 0.8980 0.5947 0.2233
O: 0.6704 0.6832 0.1535
O: 0.8646 0.7231 0.0010
O: 0.2226 0.5189 0.9264
O: 0.5628 0.5598 0.8902
O: 0.4200 0.6137 0.7042
O: 0.9625 0.6233 0.7851
O: 0.2100 0.6855 0.5808
O: 0.6702 0.6698 0.6923
O: 0.4361 0.7236 0.4813
O: 0.9413 0.7831 0.5178
O: 0.1737 0.8364 0.3126
O: 0.7077 0.8194 0.4130
O: 0.4697 0.8748 0.2180
O: 0.0647 0.9360 0.1118
O: 0.9198 0.8866 0.2952
O: 0.7243 0.9807 0.0756
O: 0.3662 0.7763 0.9964
O: 0.1726 0.8129 0.8441
O: 0.3989 0.9072 0.7759
O: 0.6395 0.8858 0.8547
O: 0.9125 0.9141 0.7317
O: 0.1616 0.9758 0.5546
O: 0.5851 0.9738 0.6284

---

Number 4 is which compound?
CsMnH5S2O10